## Na5Nb3InSi5PO24 (PBE-GGA)

Data for crystalline Na5Nb3InSi5PO24 at its relaxed geometry.

Cell lengths 9.047, 9.048, 22.684 Å; angles 89.98, 89.97, 60.03 degrees
Atoms (fractional coordinates):
Na: 0.000 0.000 0.000
Na: 0.000 0.374 0.753
Na: 0.008 0.001 0.505
Na: 0.036 0.314 0.088
Na: 0.317 0.664 0.088
Na: 0.333 0.707 0.419
Na: 0.344 0.333 0.668
Na: 0.349 0.335 0.169
Na: 0.376 0.994 0.249
Na: 0.383 0.633 0.751
Na: 0.641 0.992 0.751
Na: 0.674 0.667 0.838
Na: 0.687 0.653 0.330
Na: 0.715 0.968 0.419
Na: 0.975 0.325 0.417
Nb: 0.003 0.006 0.149
Nb: 0.008 0.001 0.861
Nb: 0.008 0.996 0.649
Nb: 0.336 0.338 0.316
Nb: 0.342 0.334 0.819
Nb: 0.345 0.330 0.022
Nb: 0.345 0.334 0.526
Nb: 0.671 0.672 0.487
Nb: 0.676 0.667 0.982
In: 0.005 0.003 0.355
In: 0.671 0.669 0.688
In: 0.682 0.660 0.186
Si: 0.003 0.300 0.256
Si: 0.010 0.712 0.755
Si: 0.048 0.335 0.921
Si: 0.051 0.620 0.421
Si: 0.293 0.003 0.754
Si: 0.342 0.625 0.921
Si: 0.343 0.046 0.421
Si: 0.379 0.668 0.589
Si: 0.387 0.959 0.089
Si: 0.628 0.336 0.421
Si: 0.633 0.040 0.920
Si: 0.671 0.378 0.087
Si: 0.675 0.962 0.589
Si: 0.721 0.286 0.754
Si: 0.965 0.668 0.086
P: 0.299 0.707 0.254
P: 0.714 0.002 0.255
P: 0.969 0.373 0.588
O: 0.030 0.808 0.417
O: 0.032 0.165 0.914
O: 0.035 0.168 0.198
O: 0.042 0.805 0.697
O: 0.144 0.360 0.862
O: 0.145 0.495 0.363
O: 0.146 0.353 0.577
O: 0.160 0.504 0.076
O: 0.167 0.309 0.978
O: 0.168 0.036 0.697
O: 0.172 0.811 0.914
O: 0.176 0.526 0.477
O: 0.180 0.018 0.419
O: 0.185 0.524 0.760
O: 0.185 0.797 0.200
O: 0.190 0.299 0.259
O: 0.192 0.844 0.592
O: 0.193 0.976 0.095
O: 0.196 0.977 0.811
O: 0.223 0.809 0.311
O: 0.308 0.178 0.760
O: 0.314 0.529 0.259
O: 0.315 0.171 0.476
O: 0.315 0.531 0.978
O: 0.346 0.155 0.078
O: 0.353 0.504 0.577
O: 0.367 0.504 0.862
O: 0.378 0.133 0.362
O: 0.473 0.695 0.250
O: 0.479 0.827 0.033
O: 0.481 0.691 0.531
O: 0.481 0.836 0.753
O: 0.486 0.892 0.150
O: 0.487 0.627 0.649
O: 0.502 0.370 0.364
O: 0.506 0.150 0.577
O: 0.506 0.352 0.076
O: 0.513 0.136 0.861
O: 0.513 0.641 0.928
O: 0.519 0.856 0.428
O: 0.530 0.310 0.477
O: 0.531 0.302 0.760
O: 0.533 0.166 0.976
O: 0.536 0.171 0.258
O: 0.617 0.497 0.144
O: 0.639 0.891 0.649
O: 0.645 0.509 0.428
O: 0.646 0.856 0.928
O: 0.680 0.854 0.250
O: 0.701 0.837 0.531
O: 0.703 0.473 0.752
O: 0.713 0.466 0.031
O: 0.812 0.161 0.697
O: 0.812 0.975 0.313
O: 0.813 0.021 0.202
O: 0.814 0.167 0.419
O: 0.819 0.025 0.914
O: 0.841 0.699 0.030
O: 0.842 0.190 0.811
O: 0.842 0.487 0.251
O: 0.844 0.689 0.751
O: 0.847 0.980 0.592
O: 0.848 0.188 0.096
O: 0.851 0.468 0.533
O: 0.862 0.506 0.927
O: 0.865 0.632 0.428
O: 0.899 0.476 0.644
O: 0.903 0.611 0.143
O: 0.981 0.197 0.591
O: 0.982 0.836 0.811
O: 0.987 0.216 0.316
O: 0.992 0.836 0.095

Values from the calculation:
calculated total energy: -859.07 eV/cell
energy of formation from the pure elements: -2.869 eV/atom
energy with MP2020 corrections: -302.8 eV/f.u.